No. 1
! NaMg6Al, relaxed, DFT PBE-GGA; values from VASP
! Size of the total moment   0.00 μB per cell
! VASP energy   -28.25 eV/cell
! DFT formation energy   1.56 kcal/mol of atoms
&SYSTEM
  ibrav = 0, nat = 16, ntyp = 3
/
ATOMIC_SPECIES
Na 22.99 Na.upf
Mg 24.30 Mg.upf
Al 26.98 Al.upf
ATOMIC_POSITIONS crystal
Na 0.500 0.500 0.168
Na 0.500 0.000 0.668
Mg 0.000 0.246 0.083
Mg 0.000 0.754 0.083
Mg 0.000 0.500 0.833
Mg 0.500 0.244 0.916
Mg 0.500 0.756 0.916
Mg 0.500 0.500 0.665
Mg 0.000 0.746 0.583
Mg 0.000 0.254 0.583
Mg 0.000 0.000 0.333
Mg 0.500 0.744 0.416
Mg 0.500 0.256 0.416
Mg 0.500 0.000 0.165
Al 0.000 0.500 0.337
Al 0.000 0.000 0.837
CELL_PARAMETERS angstrom
-4.226 -0.555 2.898
-3.354 -1.688 -5.214
2.609 -10.639 1.767



No. 2
! K3Y3B4O12, relaxed, DFT PBE-GGA; values from VASP
! Crystal system   monoclinic
! Size of the total moment   0.01 μB per cell
! VASP energy   -1360.20 eV/cell
! DFT formation energy   -72.79 kcal/mol of atoms
&SYSTEM
  ibrav = 0, nat = 176, ntyp = 4
/
ATOMIC_SPECIES
K 39.10 K.upf
Y 88.91 Y.upf
B 10.81 B.upf
O 16.00 O.upf
ATOMIC_POSITIONS crystal
K 0.828 0.919 0.906
K 0.177 0.910 0.407
K 0.467 0.700 0.399
K 0.711 0.394 0.460
K 0.211 0.606 0.040
K 0.328 0.081 0.594
K 0.172 0.081 0.094
K 0.537 0.707 0.900
K 0.711 0.606 0.045
K 0.289 0.394 0.955
K 0.789 0.394 0.960
K 0.823 0.090 0.593
K 0.963 0.707 0.400
K 0.789 0.606 0.545
K 0.211 0.394 0.455
K 0.967 0.300 0.101
K 0.323 0.910 0.907
K 0.463 0.293 0.100
K 0.037 0.293 0.600
K 0.677 0.090 0.093
K 0.033 0.700 0.899
K 0.289 0.606 0.540
K 0.533 0.300 0.601
K 0.672 0.919 0.406
Y 0.847 0.709 0.752
Y 0.856 0.290 0.750
Y 0.515 0.832 0.611
Y 0.347 0.291 0.748
Y 0.144 0.710 0.250
Y 0.621 0.477 0.760
Y 0.121 0.523 0.740
Y 0.155 0.999 0.745
Y 0.985 0.832 0.111
Y 0.153 0.291 0.248
Y 0.845 0.001 0.255
Y 0.879 0.477 0.260
Y 0.486 0.843 0.120
Y 0.015 0.168 0.889
Y 0.356 0.710 0.750
Y 0.014 0.843 0.620
Y 0.655 0.001 0.755
Y 0.653 0.709 0.252
Y 0.345 0.999 0.245
Y 0.986 0.157 0.380
Y 0.514 0.157 0.880
Y 0.485 0.168 0.389
Y 0.644 0.290 0.250
Y 0.379 0.523 0.240
B 0.806 0.770 0.219
B 0.956 0.502 0.753
B 0.618 0.623 0.514
B 0.386 0.617 0.018
B 0.461 0.000 0.758
B 0.961 0.000 0.742
B 0.306 0.230 0.281
B 0.878 0.882 0.501
B 0.296 0.766 0.220
B 0.039 0.000 0.258
B 0.456 0.498 0.747
B 0.704 0.234 0.780
B 0.614 0.383 0.982
B 0.114 0.617 0.518
B 0.796 0.234 0.280
B 0.539 0.000 0.242
B 0.886 0.383 0.482
B 0.617 0.132 0.517
B 0.383 0.868 0.483
B 0.622 0.882 0.001
B 0.122 0.118 0.499
B 0.883 0.132 0.017
B 0.382 0.377 0.486
B 0.194 0.230 0.781
B 0.378 0.118 0.999
B 0.118 0.377 0.986
B 0.882 0.623 0.014
B 0.117 0.868 0.983
B 0.044 0.498 0.247
B 0.204 0.766 0.720
B 0.544 0.502 0.253
B 0.694 0.770 0.719
O 0.219 0.351 0.784
O 0.363 0.654 0.916
O 0.945 0.045 0.043
O 0.249 0.140 0.770
O 0.619 0.810 0.716
O 0.870 0.502 0.093
O 0.075 0.275 0.972
O 0.924 0.989 0.499
O 0.151 0.356 0.080
O 0.281 0.351 0.284
O 0.390 0.233 0.913
O 0.255 0.860 0.729
O 0.864 0.506 0.413
O 0.613 0.226 0.418
O 0.533 0.994 0.797
O 0.377 0.501 0.747
O 0.749 0.860 0.730
O 0.033 0.006 0.703
O 0.349 0.356 0.580
O 0.434 0.898 0.726
O 0.637 0.346 0.084
O 0.387 0.774 0.582
O 0.887 0.226 0.918
O 0.877 0.499 0.753
O 0.745 0.140 0.271
O 0.572 0.296 0.948
O 0.370 0.498 0.407
O 0.364 0.494 0.087
O 0.428 0.704 0.052
O 0.328 0.867 0.416
O 0.172 0.867 0.916
O 0.076 0.011 0.501
O 0.828 0.133 0.084
O 0.881 0.810 0.216
O 0.636 0.506 0.913
O 0.072 0.704 0.552
O 0.424 0.011 0.001
O 0.873 0.213 0.278
O 0.251 0.140 0.270
O 0.627 0.213 0.778
O 0.719 0.649 0.716
O 0.007 0.383 0.249
O 0.127 0.787 0.722
O 0.233 0.648 0.714
O 0.066 0.898 0.226
O 0.610 0.767 0.087
O 0.119 0.190 0.784
O 0.890 0.767 0.587
O 0.419 0.111 0.756
O 0.996 0.388 0.756
O 0.130 0.498 0.907
O 0.928 0.296 0.448
O 0.767 0.352 0.286
O 0.467 0.006 0.203
O 0.919 0.889 0.744
O 0.755 0.140 0.771
O 0.081 0.111 0.256
O 0.651 0.644 0.420
O 0.123 0.501 0.247
O 0.581 0.889 0.244
O 0.245 0.860 0.229
O 0.576 0.989 0.999
O 0.381 0.190 0.284
O 0.555 0.045 0.543
O 0.623 0.499 0.253
O 0.425 0.275 0.472
O 0.673 0.884 0.926
O 0.004 0.612 0.244
O 0.781 0.649 0.216
O 0.110 0.233 0.413
O 0.173 0.116 0.574
O 0.327 0.116 0.074
O 0.136 0.494 0.587
O 0.934 0.102 0.774
O 0.575 0.725 0.528
O 0.493 0.383 0.749
O 0.751 0.860 0.230
O 0.630 0.502 0.593
O 0.672 0.133 0.584
O 0.507 0.617 0.251
O 0.863 0.346 0.584
O 0.967 0.994 0.297
O 0.733 0.352 0.786
O 0.849 0.644 0.920
O 0.925 0.725 0.028
O 0.827 0.884 0.426
O 0.137 0.654 0.416
O 0.993 0.617 0.751
O 0.267 0.648 0.214
O 0.504 0.388 0.256
O 0.496 0.612 0.744
O 0.445 0.955 0.457
O 0.373 0.787 0.222
O 0.113 0.774 0.082
O 0.566 0.102 0.274
O 0.055 0.955 0.957
CELL_PARAMETERS angstrom
-1.136 4.257 17.114
-9.853 -4.064 0.357
0.418 -13.606 3.412



No. 3
! Sc4BC4, relaxed, DFT PBE-GGA; values from VASP
! Crystal system   tetragonal
! Size of the total moment   0.01 μB per cell
! VASP energy   -217.00 eV/cell
! DFT formation energy   -8.73 kcal/mol of atoms
&SYSTEM
  ibrav = 0, nat = 27, ntyp = 3
/
ATOMIC_SPECIES
Sc 44.96 Sc.upf
B 10.81 B.upf
C 12.01 C.upf
ATOMIC_POSITIONS crystal
Sc 0.000 0.000 0.876
Sc 0.000 0.000 0.124
Sc 0.000 0.000 0.375
Sc 0.000 0.000 0.625
Sc 0.500 0.500 0.051
Sc 0.500 0.500 0.304
Sc 0.500 0.500 0.554
Sc 0.500 0.500 0.805
Sc 0.500 0.500 0.949
Sc 0.500 0.500 0.195
Sc 0.500 0.500 0.446
Sc 0.500 0.500 0.696
B 0.000 0.000 0.250
B 0.000 0.000 0.500
B 0.000 0.000 0.750
C 0.500 0.500 0.875
C 0.500 0.500 0.125
C 0.500 0.500 0.375
C 0.500 0.500 0.625
C 0.000 0.000 0.047
C 0.000 0.000 0.297
C 0.000 0.000 0.547
C 0.000 0.000 0.797
C 0.000 0.000 0.953
C 0.000 0.000 0.203
C 0.000 0.000 0.453
C 0.000 0.000 0.703
CELL_PARAMETERS angstrom
3.326 0.000 0.000
0.000 3.326 0.000
0.000 0.000 31.052



No. 4
! K3NbS4, relaxed, DFT PBE-GGA; values from VASP
! Crystal system   orthorhombic
! VASP energy   -159.20 eV/cell
! DFT formation energy   -34.11 kcal/mol of atoms
&SYSTEM
  ibrav = 0, nat = 32, ntyp = 3
/
ATOMIC_SPECIES
K 39.10 K.upf
Nb 92.91 Nb.upf
S 32.06 S.upf
ATOMIC_POSITIONS crystal
K 0.060 0.288 0.955
K 0.633 0.426 0.250
K 0.367 0.574 0.750
K 0.867 0.926 0.750
K 0.940 0.712 0.045
K 0.440 0.788 0.455
K 0.560 0.212 0.955
K 0.060 0.288 0.545
K 0.940 0.712 0.455
K 0.560 0.212 0.545
K 0.440 0.788 0.045
K 0.133 0.074 0.250
Nb 0.214 0.512 0.250
Nb 0.714 0.988 0.250
Nb 0.286 0.012 0.750
Nb 0.786 0.488 0.750
S 0.666 0.551 0.924
S 0.166 0.949 0.576
S 0.834 0.051 0.076
S 0.334 0.449 0.424
S 0.334 0.449 0.076
S 0.834 0.051 0.424
S 0.166 0.949 0.924
S 0.666 0.551 0.576
S 0.189 0.749 0.250
S 0.689 0.751 0.250
S 0.311 0.249 0.750
S 0.811 0.251 0.750
S 0.992 0.411 0.250
S 0.008 0.589 0.750
S 0.508 0.911 0.750
S 0.492 0.089 0.250
CELL_PARAMETERS angstrom
-2.116 8.900 -2.083
-3.243 -2.788 -8.616
-9.953 -1.385 4.194



No. 5
! Ba3Y3Cu3O10, relaxed, DFT PBE-GGA; values from VASP
! Crystal system   triclinic
! Size of the total moment   0.00 μB per cell
! VASP energy   -260.61 eV/cell
! DFT formation energy   -60.98 kcal/mol of atoms
&SYSTEM
  ibrav = 0, nat = 38, ntyp = 4
/
ATOMIC_SPECIES
Ba 137.33 Ba.upf
Y 88.91 Y.upf
Cu 63.55 Cu.upf
O 16.00 O.upf
ATOMIC_POSITIONS crystal
Ba 0.215 0.914 0.685
Ba 0.894 0.549 0.657
Ba 0.539 0.211 0.689
Ba 0.465 0.772 0.339
Ba 0.095 0.477 0.347
Ba 0.752 0.110 0.355
Y 0.664 0.669 0.000
Y 0.343 0.329 0.993
Y 0.002 0.997 0.992
Y 0.275 0.612 0.835
Y 0.383 0.051 0.164
Y 0.730 0.388 0.160
Cu 0.501 0.498 0.502
Cu 0.155 0.165 0.492
Cu 0.846 0.840 0.508
Cu 0.587 0.959 0.866
Cu 0.923 0.286 0.870
Cu 0.083 0.709 0.124
O 0.414 0.801 0.880
O 0.074 0.453 0.885
O 0.749 0.127 0.876
O 0.890 0.806 0.896
O 0.588 0.454 0.890
O 0.256 0.120 0.860
O 0.931 0.545 0.118
O 0.594 0.200 0.108
O 0.248 0.866 0.108
O 0.415 0.545 0.111
O 0.110 0.195 0.084
O 0.760 0.862 0.119
O 0.388 0.551 0.664
O 0.035 0.201 0.638
O 0.758 0.894 0.656
O 0.629 0.438 0.333
O 0.257 0.105 0.339
O 0.962 0.800 0.360
O 0.332 0.350 0.496
O 0.660 0.651 0.500
CELL_PARAMETERS angstrom
5.396 -1.759 0.438
5.455 4.754 -5.609
3.767 5.609 11.123



No. 6
! CaH16O10, relaxed, DFT PBE-GGA; values from VASP
! Crystal system   triclinic
! Size of the total moment   0.00 μB per cell
! VASP energy   -270.56 eV/cell
! DFT formation energy   -31.07 kcal/mol of atoms
! Energy above the lowest structure with this stoichiometry   0.048 eV per atom
&SYSTEM
  ibrav = 0, nat = 54, ntyp = 3
/
ATOMIC_SPECIES
Ca 40.08 Ca.upf
H 1.01 H.upf
O 16.00 O.upf
ATOMIC_POSITIONS crystal
Ca 0.028 0.015 0.757
Ca 0.020 0.043 0.262
H 0.270 0.644 0.651
H 0.129 0.720 0.547
H 0.721 0.364 0.647
H 0.857 0.280 0.531
H 0.711 0.010 0.614
H 0.584 0.690 0.669
H 0.316 0.263 0.624
H 0.450 0.016 0.608
H 0.685 0.583 0.165
H 0.989 0.715 0.118
H 0.267 0.332 0.122
H 0.018 0.449 0.106
H 0.358 0.721 0.150
H 0.265 0.855 0.039
H 0.646 0.268 0.150
H 0.719 0.120 0.049
H 0.956 0.412 0.348
H 0.702 0.404 0.353
H 0.276 0.623 0.356
H 0.015 0.669 0.381
H 0.376 0.266 0.340
H 0.283 0.133 0.454
H 0.612 0.873 0.339
H 0.693 0.873 0.466
H 0.130 0.286 0.951
H 0.260 0.382 0.837
H 0.847 0.616 0.835
H 0.864 0.694 0.962
H 0.642 0.031 0.871
H 0.611 0.289 0.855
H 0.389 0.725 0.858
H 0.362 0.986 0.867
O 0.526 0.548 0.686
O 0.540 0.525 0.183
O 0.496 0.488 0.316
O 0.480 0.510 0.818
O 0.127 0.712 0.636
O 0.831 0.249 0.620
O 0.625 0.902 0.603
O 0.290 0.125 0.610
O 0.892 0.622 0.100
O 0.131 0.297 0.111
O 0.241 0.831 0.128
O 0.718 0.126 0.136
O 0.849 0.325 0.377
O 0.147 0.721 0.387
O 0.291 0.149 0.364
O 0.741 0.859 0.377
O 0.153 0.286 0.861
O 0.847 0.743 0.873
O 0.705 0.154 0.881
O 0.295 0.860 0.885
CELL_PARAMETERS angstrom
-4.280 2.740 4.076
-5.425 -0.927 -3.528
-3.188 -9.465 5.162



No. 7
! CsPrZnTe3, relaxed, DFT PBE-GGA; values from VASP
! Crystal system   orthorhombic
! Size of the total moment   0.00 μB per cell
! VASP energy   -45.99 eV/cell
! DFT formation energy   -30.34 kcal/mol of atoms
&SYSTEM
  ibrav = 0, nat = 12, ntyp = 4
/
ATOMIC_SPECIES
Cs 132.91 Cs.upf
Pr 140.91 Pr.upf
Zn 65.41 Zn.upf
Te 127.60 Te.upf
ATOMIC_POSITIONS crystal
Cs 0.746 0.493 0.750
Cs 0.254 0.507 0.250
Pr 0.000 0.000 0.000
Pr 0.000 0.000 0.500
Zn 0.465 0.930 0.750
Zn 0.535 0.070 0.250
Te 0.379 0.758 0.567
Te 0.621 0.242 0.433
Te 0.939 0.879 0.250
Te 0.061 0.121 0.750
Te 0.379 0.758 0.933
Te 0.621 0.242 0.067
CELL_PARAMETERS angstrom
-1.855 1.493 3.876
-0.836 -8.917 0.365
10.786 -0.788 5.466



No. 8
! MgHg5, relaxed, DFT PBE-GGA; values from VASP
! Crystal system   hexagonal
! Size of the total moment   0.00 μB per cell
! VASP energy   -3.21 eV/cell
! DFT formation energy   -0.36 kcal/mol of atoms
&SYSTEM
  ibrav = 0, nat = 6, ntyp = 2
/
ATOMIC_SPECIES
Mg 24.30 Mg.upf
Hg 200.59 Hg.upf
ATOMIC_POSITIONS crystal
Mg 0.667 0.333 0.833
Hg 0.667 0.333 0.160
Hg 0.000 0.000 0.333
Hg 0.667 0.333 0.507
Hg 0.000 0.000 0.682
Hg 0.000 0.000 0.985
CELL_PARAMETERS angstrom
3.708 0.000 0.000
-1.854 3.211 0.000
0.000 0.000 13.158